Record 1
Nb2P3O12, relaxed, DFT PBE; mass density = 3.1 Mg/m³; energy above the most stable polymorph in this dataset = 0 meV/atom; total energy = -8.000 eV per atom
1.0
4.4176 2.5505 7.5488
-4.4176 2.5505 7.5488
0.0000 -5.1010 7.5488
Nb P O
4 6 24
Cartesian
0.0000 0.0000 3.2169
0.0000 0.0000 8.1064
0.0000 0.0000 14.5401
0.0000 0.0000 19.4296
-3.1712 -0.3918 9.4360
-1.2463 -2.9423 13.2104
1.9249 -2.5505 9.4360
-1.9249 2.5505 13.2104
1.2463 2.9423 9.4360
3.1712 0.3918 13.2104
-3.3980 -1.2676 10.6807
-3.7973 1.0029 9.6449
-2.7672 -2.7871 13.0015
-0.6012 -1.5244 6.9063
-1.6504 -0.2366 9.2271
-0.6012 -3.5766 11.9657
-1.0196 1.2829 6.9063
1.0301 -3.7900 9.6449
-2.7968 2.3090 11.9657
-0.6203 -1.5476 13.4193
1.0301 -1.3110 9.2271
-1.6208 -0.2415 15.7401
1.6208 0.2415 6.9063
-1.0301 1.3110 13.4193
0.6203 1.5476 9.2271
2.7968 -2.3090 10.6807
-1.0301 3.7900 13.0015
1.0196 -1.2829 15.7401
0.6012 3.5766 10.6807
1.6504 0.2366 13.4193
0.6012 1.5244 15.7401
2.7672 2.7871 9.6449
3.7973 -1.0029 13.0015
3.3980 1.2676 11.9657

Record 2
RbNb3P3O15, relaxed, DFT PBE; magnetic moment = 0.17 Bohr magnetons per cell; mass density = 3.5 Mg/m³; total energy = -7.963 eV per atom
1.0
6.5585 0.0000 0.0000
0.0000 15.0246 0.0000
-6.5420 0.0000 13.5609
Rb Nb P O
4 12 12 60
Cartesian
0.2864 2.6011 0.1381
-2.9846 4.9112 6.9185
3.0010 10.1133 6.6424
-0.2700 12.4235 13.4229
-3.2726 10.9031 10.9687
-0.0016 11.6337 4.1883
0.0023 7.8784 4.8629
-3.2687 14.6584 11.6434
0.0107 1.6948 5.9369
-3.2603 5.8175 12.7173
3.2768 9.2071 0.8436
0.0057 13.3298 7.6240
3.2851 0.3661 1.9176
0.0141 7.1461 8.6980
0.0180 3.3908 9.3727
3.2890 4.1215 2.5922
0.0020 9.3061 1.7159
-3.2691 13.2308 8.4964
-3.2675 7.5939 9.5992
0.0035 14.9430 2.8188
-3.2655 3.0537 10.4570
0.0056 4.4586 3.6765
0.0109 10.5659 9.8844
3.2819 11.9709 3.1039
0.0129 0.0816 10.7422
3.2839 7.4307 3.9617
3.2855 1.7938 5.0645
0.0145 5.7185 11.8450
-4.5021 3.3198 9.5445
-1.2310 4.1924 2.7641
-2.0514 7.7794 4.8577
-5.3225 14.7574 11.6381
-2.0234 1.6983 5.9695
-5.2944 5.8140 12.7500
0.0021 10.7342 2.3132
-3.2689 11.8027 9.0937
0.0030 8.1985 2.7702
-3.2680 14.3383 9.5506
-3.2681 9.0966 9.9177
0.0030 13.4402 3.1373
1.2513 9.2073 0.8115
-2.0197 13.3295 7.5919
0.0048 0.7880 4.0761
-3.2663 6.7243 10.8565
-3.2676 1.6192 11.0024
0.0034 5.8930 4.2219
1.2264 0.2695 1.9244
-2.0446 7.2428 8.7048
0.0026 3.5035 4.8830
-3.2684 4.0088 11.6635
0.0120 9.7998 4.9501
-3.2590 12.7371 11.7306
-2.0324 3.3212 9.5429
1.2386 4.1911 2.7624
-3.2604 10.1474 12.7037
0.0106 12.3894 5.9233
3.2792 0.0000 0.0000
0.0082 0.0000 6.7805
3.2792 7.5123 0.0000
0.0082 7.5123 6.7805
0.0058 2.6351 7.6377
3.2768 4.8772 0.8572
-1.2222 10.8335 10.7985
2.0488 11.7034 4.0181
3.2754 2.2875 1.8304
0.0044 5.2248 8.6108
3.2848 11.0158 1.8975
0.0138 11.5211 8.6779
2.0611 7.7818 4.8561
-1.2100 14.7551 11.6366
0.0130 9.1315 9.3390
3.2840 13.4053 2.5585
3.2827 8.3003 2.7044
0.0117 14.2366 9.4849
2.0361 1.6951 5.9690
-1.2349 5.8172 12.7495
0.0135 1.5844 10.4237
3.2845 5.9279 3.6432
3.2844 0.6862 4.0103
0.0134 6.8261 10.7908
3.2854 3.2219 4.4673
0.0143 4.2904 11.2477
5.3109 9.2106 0.8109
2.0398 13.3263 7.5914
5.3389 0.2671 1.9228
2.0679 7.2452 8.7033
1.2475 10.8321 10.7969
4.5185 11.7047 4.0164

Record 3
Sc3NbP2S4O24, relaxed, DFT PBE; magnetic moment = 0.00 Bohr magnetons per cell; mass density = 2.6 Mg/m³; total energy = -7.357 eV per atom
1.0
8.8526 0.0000 0.0000
4.4147 7.6780 0.0000
0.0009 0.0092 22.7878
Sc Nb P S O
9 3 6 12 72
Cartesian
0.0000 0.0000 0.0000
0.0173 0.0272 6.5757
4.3367 2.6283 18.9586
4.3412 2.5855 14.1602
4.3684 2.5972 2.7765
4.3717 2.5372 7.5935
8.7687 5.1355 21.7569
8.8094 5.1642 10.4348
8.8409 0.0819 17.9896
8.7459 5.2074 3.7713
8.8394 5.1227 15.1630
8.8274 0.0437 11.5042
1.8517 2.5894 16.5818
3.1215 0.4180 5.1852
6.2482 5.1430 1.3488
7.5725 7.3478 12.7697
7.5275 2.9759 12.7647
11.3439 5.1434 12.7593
3.0944 4.8125 5.1802
5.6503 5.5069 8.9904
2.5343 0.0468 20.3818
5.6758 4.8245 16.5750
5.6724 0.3733 16.5773
6.9518 2.5956 5.1826
10.0840 7.3610 1.3749
7.5266 2.2490 20.3845
6.2983 0.0395 8.9858
10.0806 2.9587 1.3839
10.0806 2.2430 8.9904
11.9626 5.5105 20.3855
0.9036 1.4151 16.8038
3.6388 6.1613 5.3789
0.9712 1.3697 10.1966
3.7264 6.1415 21.5886
3.2843 3.9729 6.3784
2.6999 2.8881 17.8237
2.6722 2.8196 1.6006
3.4303 4.0067 13.0121
3.7110 4.2111 3.9944
2.6934 2.3560 8.8445
2.7070 2.3876 15.3435
3.7319 4.1794 20.2145
5.0318 6.1776 10.1975
1.6852 0.2769 21.5815
1.6344 0.1702 5.4023
5.1173 6.1655 16.7766
5.9880 7.4766 12.5342
5.4187 6.4131 1.2320
5.4066 6.3508 7.8011
6.1039 7.4965 19.1919
5.0173 4.1882 8.8276
3.3838 1.2512 3.9455
5.0918 4.2133 15.3850
3.3876 1.2375 20.1992
3.6910 1.0504 13.0028
5.4107 3.9207 1.6658
3.8027 1.0040 6.4309
5.5126 3.9793 17.7735
7.0945 5.3749 9.1737
7.8073 6.5381 20.5665
7.7748 6.4326 14.0178
7.2320 5.3474 2.6413
8.1494 6.7076 11.5268
7.1764 4.9767 16.3570
7.1749 4.9230 0.1673
8.1930 6.6454 4.9118
6.1420 2.8867 6.3806
5.0613 0.9920 1.6092
5.0390 0.9544 17.7745
6.0798 2.7479 13.0488
6.0741 2.4015 20.1869
5.4782 1.2617 8.8477
6.1301 2.3936 3.9924
5.4589 1.1948 15.3875
9.4757 6.7304 0.2096
7.7972 3.8073 11.5339
9.4571 6.6830 16.3558
7.8478 3.8144 4.9598
8.1475 3.5831 20.5544
9.8229 6.4828 2.6099
9.8666 6.5415 9.1704
8.2334 3.6235 14.0167
7.7691 1.4127 21.5871
7.8356 1.4454 5.3807
7.1123 0.1601 16.7752
7.1840 0.2391 10.1967
8.1463 1.6241 19.1927
11.5568 7.5180 7.7950
11.5406 7.4729 1.2624
10.4395 5.4267 14.0151
8.2292 1.5541 12.5362
9.4735 3.6319 2.6063
9.4813 3.5604 9.1755
10.5091 5.3560 20.5823
9.7789 3.8816 16.3032
10.4572 4.9546 4.9444
10.4889 4.9532 11.5302
9.8655 3.7990 0.2052
9.4465 1.6428 1.2539
12.2259 6.4597 12.5400
12.1936 6.3453 19.1906
9.4817 1.6115 7.7994

Record 4
YNbP2SO12, relaxed, DFT PBE; magnetic moment = 0.00 Bohr magnetons per cell; mass density = 2.8 Mg/m³; total energy = -7.688 eV per atom
1.0
-8.5298 -0.7471 3.0443
3.5227 -6.5151 -5.2922
7.6865 -10.7264 18.9044
O Y S P Nb
72 6 6 12 6
Cartesian
-1.4251 -5.9245 9.2351
7.6891 -16.2070 14.8195
5.1752 -9.9781 14.7987
-4.4821 -6.9415 0.4202
1.7122 -9.8897 3.7502
-0.0446 -11.4357 4.7504
3.5269 -8.4250 -0.8940
-5.4703 -5.2108 7.7742
-4.5297 -5.3795 5.4331
2.4651 -8.2698 1.4383
-6.3890 -1.9545 4.0730
4.6337 -13.6533 14.4878
-0.1564 -9.6787 9.3701
6.4233 -15.1769 12.8927
4.7691 -8.8727 12.5651
-3.0077 -8.0000 13.2975
0.4914 -14.5491 13.9684
-1.0211 -6.9814 -1.5909
3.1215 -11.2261 18.4363
-4.8675 -4.3916 0.2276
-1.8541 -4.0739 2.2177
2.0500 -10.8776 8.9558
-2.7358 -2.5246 0.4232
3.0123 -10.4187 13.5652
-0.7023 -3.9833 -0.0411
1.9055 -5.1904 -1.8165
0.4045 -9.2116 15.3407
-0.4839 -2.0791 1.5729
5.8773 -9.4814 3.4816
4.7256 -9.5721 5.7404
2.1183 -10.9951 5.9838
2.4415 -8.3038 7.4015
0.0857 -12.2097 13.7909
-1.9460 -8.1552 10.9651
-4.1382 -2.8057 3.8789
-1.8812 -6.6821 3.6690
-2.2026 -8.1355 1.7165
8.6296 -16.3757 12.4784
1.0951 -13.0733 18.0967
7.4340 -12.6166 14.0540
-4.4614 -5.4970 2.4612
4.1456 -13.8224 11.6624
-1.6122 -3.6884 5.2366
3.8438 -8.0227 3.9458
3.0452 -6.8280 11.5298
3.0173 -15.4318 15.3262
-0.7472 -9.3022 17.5995
-1.7177 -9.0427 3.9330
5.3295 -15.2190 16.3487
-1.2502 -9.7209 12.8261
2.0147 -5.9978 3.0545
-5.3025 -1.9580 1.9049
0.0646 -12.2431 9.6214
0.1907 -7.4526 7.5956
6.7704 -12.9508 11.1182
1.3393 -8.0258 12.7479
0.8543 -7.1185 10.5314
1.8937 -14.2679 10.5127
1.1094 -10.7089 11.2968
1.7937 -3.4335 2.8032
3.5720 -13.4981 16.8201
4.9675 -9.1865 8.7593
7.8568 -12.9542 8.9502
1.2772 -7.4561 5.4275
-0.0118 -7.8450 2.7149
5.1546 -11.4226 12.7577
0.6999 -3.4756 6.2592
2.0358 -5.9644 7.2240
-0.7744 -11.9104 19.0508
7.9190 -13.5239 16.2705
4.6985 -12.1802 7.1917
-2.4340 -8.3243 8.1398
3.5404 -10.2768 7.4723
-3.0393 -4.7786 3.9496
-0.2560 -4.9095 -1.9967
0.8509 -10.1377 13.3851
-5.7288 -4.6396 9.8625
6.5973 -9.2598 16.2871
8.1040 -12.7933 10.4094
-5.0553 -1.7971 3.3642
-1.4981 -7.9345 3.0126
1.5244 -7.2952 6.8868
1.5588 -6.9175 11.8274
8.1385 -12.4157 15.3501
4.4943 -10.1648 13.4725
-2.4302 -9.0349 12.2087
-1.4490 -3.2492 1.0347
7.4028 -16.3591 13.3524
2.7732 -4.6158 3.2629
0.8231 -10.8610 9.8298
1.4374 -11.1818 4.6576
4.1495 -14.5331 15.7314
-5.1423 -5.6837 1.1350
3.1806 -14.9925 11.1242
5.1307 -8.7473 4.5573
3.0426 -9.3048 0.3496
-3.4916 -7.6932 15.1422
0.9975 -1.6002 2.7162
5.6271 -13.3435 12.8058
3.0881 -13.1913 18.6649
-0.9526 -7.8454 9.2831
1.9813 -7.9631 3.2831

Record 5
Y3NbP2S4O24, relaxed, DFT PBE; magnetic moment = 0.00 Bohr magnetons per cell; mass density = 2.7 Mg/m³; total energy = -7.414 eV per atom
1.0
9.1613 0.0000 0.0000
4.5796 7.9424 0.0000
0.0213 0.0000 23.5606
Y Nb P S O
9 3 6 12 72
Cartesian
0.0000 0.0000 0.0000
9.1991 0.0585 6.6870
4.5872 7.8942 18.6362
4.6247 7.9301 11.7214
4.6809 2.6591 14.4802
4.6801 2.6488 7.8764
4.6668 2.5984 19.6521
9.1761 5.3120 15.7333
9.2086 5.2806 3.8532
4.6383 2.6360 2.6272
9.1377 5.2137 10.6825
9.2730 5.3233 22.6061
6.6396 5.2524 13.1166
7.9982 7.6037 1.3773
7.8156 3.0991 1.3724
11.1127 7.8056 21.0612
7.9875 2.3337 9.2218
11.8268 5.1578 1.3806
3.3797 4.9221 17.0576
2.1344 2.5625 5.2043
7.3385 7.8006 9.2289
6.1545 5.6416 21.0745
5.8153 4.8689 5.1965
3.2697 0.4060 17.0621
5.9457 0.4902 5.1957
7.2809 2.5773 17.0683
10.4520 7.4940 13.0651
10.5446 3.0984 13.0732
10.4609 2.4309 21.0711
12.3184 5.6635 9.2377
3.6657 6.2383 1.0595
1.1291 1.5534 22.2320
3.8226 6.2408 10.4122
4.0168 6.2521 17.2058
1.3390 1.3130 5.3091
2.8457 3.0198 13.1175
2.7307 2.7009 20.8487
3.6606 4.2940 9.0248
3.6478 4.1015 18.2528
3.4950 3.7989 1.5995
2.9461 2.7370 6.4139
3.9310 4.2736 15.8365
5.1430 6.1786 5.3252
3.0228 2.4210 3.9925
1.8126 0.2562 17.2427
1.9335 0.1013 10.4124
5.5027 6.2534 22.2331
6.5703 7.9121 1.0217
5.7928 6.4729 12.8101
6.5217 7.5044 8.0371
6.0045 6.4809 19.8674
3.5440 1.1894 15.8315
5.2464 4.1669 3.9833
3.6724 0.9901 9.0233
5.6383 4.2808 20.8514
5.5666 4.0615 6.4010
3.8559 1.0679 18.2462
4.1771 1.0651 1.6069
5.8555 3.9471 13.1466
8.1902 6.7922 2.6344
7.2680 5.0286 5.0439
7.5198 5.4613 14.3304
8.2169 6.5839 9.4766
8.4834 7.0100 16.9419
7.6402 5.5294 21.3637
6.2171 3.0188 1.6054
5.1815 0.8478 13.1315
7.6571 5.1064 11.8333
5.3810 1.1013 6.4060
8.7424 6.8892 0.1751
6.4297 2.7785 18.2563
5.6346 1.3395 3.9888
5.5232 0.9861 20.8223
6.5127 2.6471 8.9999
6.4539 2.4055 15.8478
8.0555 4.0756 0.1707
9.9391 7.0959 5.0378
8.1437 3.7725 16.9221
9.9024 6.7613 11.8597
8.4005 3.6689 2.6445
10.2452 6.7014 14.2774
10.2391 6.4982 21.4413
8.6680 3.7699 9.5320
7.4206 0.4084 5.3091
8.2840 1.6947 1.0786
8.1275 1.3782 17.2346
7.4274 0.1247 22.2622
8.2147 1.4719 10.4488
11.9015 7.6709 12.8729
9.7892 3.7597 21.3661
11.9397 7.4688 19.8097
10.8402 5.5586 9.5057
8.6823 1.7544 7.9778
9.9759 3.7061 14.2694
11.0226 5.4067 2.6322
10.2191 3.9640 11.8536
10.8497 4.8757 0.1709
11.0770 5.0761 16.8981
10.4221 3.7331 5.0480
9.8204 1.8701 19.8658
12.5057 6.5087 8.0385
9.9435 1.7762 12.8636

Record-wise ΔH_f (0 K) values, in meV/atom: -2849, -2897, -2689, -2826, -2734